No. 1
A geometry-optimized Li3SiNi3O8 structure, computed with PBE with a Hubbard U.

Cell and atoms, written as POSCAR:
```
Li3SiNi3O8
1.0
2.1315 -4.4434 -1.2036
0.1879 -1.0572 9.6688
-5.0131 -2.3612 -0.1607
Ni O Li Si
6 16 6 2
Direct
0.2500 0.7500 0.5000 Ni
0.7500 0.2500 0.5000 Ni
0.7500 0.7500 0.2484 Ni
0.2500 0.2500 0.7516 Ni
0.2500 0.2500 0.2484 Ni
0.7500 0.7500 0.7516 Ni
0.5847 0.8485 0.0000 O
0.1381 0.3626 0.5000 O
0.0847 0.3486 0.0000 O
0.4153 0.1514 0.0000 O
0.8536 0.1424 0.7624 O
0.8536 0.1424 0.2376 O
0.8618 0.6376 0.5000 O
0.6464 0.3576 0.7624 O
0.3537 0.6426 0.7624 O
0.3619 0.1374 0.5000 O
0.3537 0.6426 0.2376 O
0.6464 0.3576 0.2376 O
0.9153 0.6515 0.0000 O
0.1463 0.8574 0.2376 O
0.6382 0.8624 0.5000 O
0.1463 0.8574 0.7624 O
0.5000 0.0001 0.7561 Li
0.0000 0.4999 0.2439 Li
0.5000 0.0001 0.2439 Li
0.0000 0.4999 0.7561 Li
0.0000 0.0001 0.5000 Li
0.5000 0.4999 0.5000 Li
0.2500 0.7500 0.0000 Si
0.7500 0.2500 0.0000 Si
```


No. 2
PBE with a Hubbard U Li2Si2NiO6, relaxed; distance to the lowest polymorph of the same formula = 65 meV/atom
1.0
0.0000 10.9007 11.1835
3.1655 0.0000 11.1835
3.1655 10.9007 0.0000
Li Si Ni O
12 12 6 36
Direct
0.0000 0.0000 0.0000 Li
0.1998 0.9427 0.5798 Li
0.2500 0.2500 0.2500 Li
0.2851 0.6457 0.3588 Li
0.3791 0.3791 0.6209 Li
0.5395 0.8912 0.6043 Li
0.6291 0.6291 0.8709 Li
0.6457 0.2851 0.7105 Li
0.6702 0.9722 0.0502 Li
0.8912 0.5395 0.9649 Li
0.9427 0.1998 0.2778 Li
0.9722 0.6702 0.3073 Li
0.0556 0.4378 0.0516 Si
0.0931 0.0931 0.4069 Si
0.1768 0.4634 0.5308 Si
0.1984 0.7950 0.1944 Si
0.4209 0.7192 0.7866 Si
0.4378 0.0556 0.4550 Si
0.4634 0.1768 0.8291 Si
0.5087 0.5087 0.4913 Si
0.7192 0.4209 0.0732 Si
0.7587 0.7587 0.7413 Si
0.7950 0.1984 0.8122 Si
0.8431 0.8431 0.1569 Si
0.0582 0.8037 0.7585 Ni
0.1282 0.1282 0.8718 Ni
0.3782 0.3782 0.1218 Ni
0.4915 0.8704 0.1918 Ni
0.8037 0.0582 0.3796 Ni
0.8704 0.4915 0.4463 Ni
0.0297 0.5759 0.9781 O
0.0485 0.9408 0.6438 O
0.0537 0.1998 0.3149 O
0.1609 0.9710 0.9640 O
0.1976 0.3315 0.6142 O
0.1998 0.0537 0.4316 O
0.2070 0.6662 0.2647 O
0.2410 0.5306 0.5271 O
0.2475 0.6881 0.7279 O
0.2719 0.8337 0.2203 O
0.2860 0.3458 0.0891 O
0.3315 0.1976 0.8566 O
0.3458 0.2860 0.2790 O
0.3879 0.9853 0.5838 O
0.3934 0.6358 0.9185 O
0.5221 0.9134 0.0025 O
0.5284 0.5766 0.3475 O
0.5306 0.2410 0.7013 O
0.5487 0.7229 0.7194 O
0.5759 0.0297 0.4163 O
0.5766 0.5284 0.5475 O
0.6062 0.8831 0.2015 O
0.6358 0.3934 0.0524 O
0.6662 0.2070 0.8621 O
0.6881 0.2475 0.3366 O
0.7025 0.9025 0.6734 O
0.7229 0.5487 0.0090 O
0.8184 0.9351 0.0502 O
0.8337 0.2719 0.6741 O
0.8831 0.6062 0.3092 O
0.9025 0.7025 0.7216 O
0.9134 0.5221 0.5619 O
0.9351 0.8184 0.1963 O
0.9408 0.0485 0.3669 O
0.9710 0.1609 0.9042 O
0.9853 0.3879 0.0430 O


No. 3
PBE with a Hubbard U Li2SiNiO4, relaxed; distance to the lowest polymorph of the same formula = 58 meV/atom
1.0
4.9750 0.0000 0.0000
-0.1034 8.7519 0.0000
-2.2055 -4.0725 11.4582
Li Si Ni O
12 6 6 24
Direct
0.0000 0.0000 0.0000 Li
0.0165 0.2128 0.6603 Li
0.0683 0.4053 0.1470 Li
0.0942 0.6349 0.8204 Li
0.3284 0.7578 0.3169 Li
0.4307 0.1816 0.4961 Li
0.4995 0.5001 0.0002 Li
0.5175 0.7122 0.6604 Li
0.5687 0.9045 0.1472 Li
0.5947 0.1347 0.8201 Li
0.8277 0.2574 0.3168 Li
0.9320 0.6822 0.4963 Li
0.0708 0.9409 0.7418 Si
0.3889 0.4600 0.4067 Si
0.4971 0.2019 0.0738 Si
0.5699 0.4410 0.7418 Si
0.8896 0.9600 0.4071 Si
0.9965 0.7019 0.0739 Si
0.0247 0.3489 0.8970 Ni
0.0349 0.4236 0.5580 Ni
0.1988 0.0502 0.2576 Ni
0.5249 0.8490 0.8967 Ni
0.5353 0.9230 0.5580 Ni
0.7001 0.5502 0.2588 Ni
0.1173 0.8719 0.8528 O
0.1348 0.5874 0.9661 O
0.2278 0.9561 0.4355 O
0.2373 0.2784 0.3814 O
0.2421 0.8140 0.1798 O
0.2749 0.5829 0.5191 O
0.2845 0.3216 0.0291 O
0.3184 0.5244 0.2942 O
0.3255 0.0852 0.1237 O
0.3364 0.3206 0.6343 O
0.3696 0.9402 0.6993 O
0.4696 0.6261 0.7801 O
0.6173 0.3717 0.8527 O
0.6351 0.0876 0.9658 O
0.7275 0.4568 0.4347 O
0.7372 0.7786 0.3821 O
0.7426 0.3140 0.1798 O
0.7748 0.0831 0.5191 O
0.7845 0.8217 0.0290 O
0.8197 0.0240 0.2944 O
0.8239 0.5862 0.1243 O
0.8372 0.8205 0.6344 O
0.8683 0.4413 0.6991 O
0.9721 0.1265 0.7798 O


No. 4
PBE with a Hubbard U Li2Si2NiO6, relaxed; distance to the lowest polymorph of the same formula = 15 meV/atom
1.0
5.1231 0.0000 0.0000
-0.0645 5.1272 0.0000
-2.5149 -2.5701 9.7666
Li Si Ni O
4 4 2 12
Direct
0.0000 0.0000 0.0000 Li
0.0830 0.5920 0.1685 Li
0.3804 0.2873 0.6686 Li
0.8041 0.2020 0.4998 Li
0.1520 0.7161 0.4956 Si
0.5146 0.3582 0.0008 Si
0.6023 0.9441 0.1728 Si
0.7376 0.8012 0.6677 Si
0.1971 0.1505 0.3347 Ni
0.9359 0.3896 0.8340 Ni
0.1139 0.5210 0.3435 O
0.1566 0.0362 0.5009 O
0.3186 0.3303 0.8499 O
0.4252 0.1112 0.0647 O
0.4271 0.6469 0.6039 O
0.4495 0.6336 0.1096 O
0.5584 0.0575 0.3248 O
0.7323 0.1174 0.6632 O
0.8356 0.3578 0.0049 O
0.8608 0.7568 0.8188 O
0.9045 0.6266 0.5590 O
0.9175 0.9441 0.1677 O


No. 5
PBE with a Hubbard U Li3SiNiO5, relaxed; distance to the lowest polymorph of the same formula = 34 meV/atom
1.0
3.0677 0.1397 5.5430
-7.4012 2.5997 3.0637
-3.2308 -5.2565 2.0963
Li Si O Ni
12 4 20 4
Direct
0.1205 0.3691 0.0041 Li
0.9264 0.3753 0.4019 Li
0.3259 0.3755 0.5968 Li
0.6205 0.8690 0.0041 Li
0.6741 0.6245 0.4032 Li
0.8259 0.8755 0.5968 Li
0.3795 0.1309 0.9959 Li
0.4264 0.8753 0.4019 Li
0.0736 0.6247 0.5981 Li
0.8795 0.6309 0.9959 Li
0.1741 0.1245 0.4032 Li
0.5736 0.1247 0.5981 Li
0.5339 0.3754 0.2276 Si
0.4661 0.6246 0.7724 Si
0.9661 0.1246 0.7724 Si
0.0339 0.8754 0.2276 Si
0.6180 0.3775 0.4722 O
0.2404 0.1143 0.7198 O
0.4942 0.1542 0.2794 O
0.7050 0.1340 0.8862 O
0.7950 0.3661 0.1138 O
0.2050 0.6339 0.8862 O
0.7404 0.6143 0.7198 O
0.5544 0.6021 0.1020 O
0.0059 0.3459 0.7206 O
0.8820 0.1225 0.5278 O
0.4456 0.3979 0.8980 O
0.1180 0.8775 0.4722 O
0.2950 0.8660 0.1138 O
0.9941 0.6541 0.2794 O
0.2596 0.3857 0.2802 O
0.0545 0.1021 0.1020 O
0.7596 0.8857 0.2802 O
0.9456 0.8979 0.8980 O
0.5059 0.8458 0.7206 O
0.3820 0.6224 0.5278 O
0.7220 0.3748 0.7937 Ni
0.2780 0.6252 0.2063 Ni
0.2220 0.8748 0.7937 Ni
0.7780 0.1252 0.2063 Ni


No. 6
PBE with a Hubbard U Li4Si2NiO7, relaxed; distance to the lowest polymorph of the same formula = 11 meV/atom
1.0
7.6060 -2.2564 0.0000
7.6060 2.2564 0.0000
-5.9788 0.0000 16.8972
Li Si Ni O
16 8 4 28
Direct
0.0171 0.0171 0.1930 Li
0.0781 0.0394 0.5883 Li
0.2009 0.1827 0.1619 Li
0.2424 0.2230 0.5546 Li
0.2645 0.2728 0.9434 Li
0.3246 0.2927 0.3409 Li
0.4485 0.4360 0.9091 Li
0.4870 0.4761 0.3041 Li
0.5239 0.5130 0.6959 Li
0.5640 0.5515 0.0909 Li
0.7073 0.6754 0.6591 Li
0.7272 0.7355 0.0566 Li
0.7770 0.7576 0.4454 Li
0.8173 0.7991 0.8381 Li
0.9606 0.9219 0.4117 Li
0.9829 0.9829 0.8070 Li
0.0677 0.1131 0.9851 Si
0.1487 0.1688 0.7647 Si
0.3224 0.3561 0.7338 Si
0.4056 0.4141 0.5159 Si
0.5859 0.5944 0.4841 Si
0.6439 0.6776 0.2662 Si
0.8312 0.8513 0.2353 Si
0.8869 0.9323 0.0149 Si
0.1188 0.1188 0.3720 Ni
0.3623 0.3751 0.1218 Ni
0.6249 0.6377 0.8782 Ni
0.8812 0.8812 0.6280 Ni
0.0548 0.6182 0.0304 O
0.0701 0.5158 0.6546 O
0.1444 0.6810 0.2169 O
0.1575 0.5598 0.4380 O
0.1690 0.8310 0.0000 O
0.1767 0.6036 0.8121 O
0.2472 0.6695 0.5945 O
0.3190 0.8556 0.7831 O
0.3305 0.7528 0.4055 O
0.3818 0.9452 0.9696 O
0.3964 0.8233 0.1879 O
0.4276 0.0706 0.7490 O
0.4402 0.8425 0.5620 O
0.4842 0.9299 0.3454 O
0.5736 0.0121 0.1570 O
0.5762 0.0999 0.5332 O
0.6375 0.1875 0.7192 O
0.6429 0.0734 0.9360 O
0.6880 0.3120 0.5000 O
0.6910 0.0961 0.3138 O
0.7250 0.1863 0.0938 O
0.8125 0.3625 0.2808 O
0.8137 0.2750 0.9062 O
0.9001 0.4238 0.4668 O
0.9039 0.3090 0.6862 O
0.9266 0.3571 0.0640 O
0.9294 0.5724 0.2510 O
0.9879 0.4264 0.8430 O


no.,ΔH_f (0 K) (meV per atom)
1,-1830
2,-2592
3,-2393
4,-2642
5,-2247
6,-2612